1.
! HoPd, optimized geometry, DFT PBE; values from VASP
! SG: No. 62
&SYSTEM
  ibrav = 0, nat = 8, ntyp = 2
/
ATOMIC_SPECIES
Ho 164.93 Ho.upf
Pd 106.42 Pd.upf
CELL_PARAMETERS angstrom
4.647 0.000 0.000
0.000 5.535 0.000
0.000 0.000 6.893
ATOMIC_POSITIONS crystal
Ho 0.750 0.857 0.817
Ho 0.250 0.143 0.183
Ho 0.250 0.357 0.683
Ho 0.750 0.643 0.317
Pd 0.750 0.153 0.458
Pd 0.250 0.653 0.042
Pd 0.750 0.347 0.958
Pd 0.250 0.847 0.542

2.
! Ho2PdRh, optimized geometry, DFT PBE; values from VASP
! SG: No. 225
&SYSTEM
  ibrav = 0, nat = 4, ntyp = 3
/
ATOMIC_SPECIES
Pd 106.42 Pd.upf
Ho 164.93 Ho.upf
Rh 102.91 Rh.upf
CELL_PARAMETERS angstrom
0.000 3.451 3.451
3.451 0.000 3.451
3.451 3.451 0.000
ATOMIC_POSITIONS crystal
Pd 0.500 0.500 0.500
Ho 0.750 0.750 0.750
Ho 0.250 0.250 0.250
Rh 0.000 0.000 0.000

3.
! Ho2PdRu, optimized geometry, DFT PBE; values from VASP
! SG: No. 225
&SYSTEM
  ibrav = 0, nat = 4, ntyp = 3
/
ATOMIC_SPECIES
Ho 164.93 Ho.upf
Ru 101.07 Ru.upf
Pd 106.42 Pd.upf
CELL_PARAMETERS angstrom
0.000 3.439 3.439
3.439 0.000 3.439
3.439 3.439 0.000
ATOMIC_POSITIONS crystal
Ho 0.250 0.250 0.250
Ho 0.750 0.750 0.750
Ru 0.000 0.000 0.000
Pd 0.500 0.500 0.500

| no. | density (g/cm3) | calculated formation energy (eV per atom) |
| --- | --- | --- |
| 1 | 10.166 | -0.943 |
| 2 | 10.893 | -0.907 |
| 3 | 10.967 | -0.678 |